VASP calculation (PBE) on crystalline Na2La3NbP4S2O24 at its relaxed geometry.

Unit cell a=9.2925 b=9.3049 c=24.5295 alpha=89.68 beta=89.88 gamma=60.09
Element x y z (fractional)
1 Na 0.0000 0.0000 0.0000
2 Na 0.0055 0.0084 0.4884
3 Na 0.3274 0.3394 0.3256
4 Na 0.3422 0.3340 0.8272
5 Na 0.6503 0.6740 0.6567
6 Na 0.6666 0.6699 0.1597
7 La 0.0012 0.9929 0.8442
8 La 0.0052 0.9985 0.3436
9 La 0.3332 0.3312 0.1787
10 La 0.3353 0.3318 0.9885
11 La 0.3380 0.3271 0.4724
12 La 0.3450 0.3269 0.6761
13 La 0.6592 0.6750 0.8016
14 La 0.6613 0.6608 0.5123
15 La 0.6682 0.6649 0.0170
16 Nb 0.0019 0.9961 0.6418
17 Nb 0.0036 0.9951 0.1467
18 Nb 0.6703 0.6505 0.3030
19 P 0.0327 0.3146 0.0814
20 P 0.2883 0.7126 0.7388
21 P 0.3051 0.9786 0.2427
22 P 0.3181 0.6495 0.0813
23 P 0.3220 0.0319 0.5802
24 P 0.3868 0.6568 0.4043
25 P 0.6507 0.3170 0.5793
26 P 0.6530 0.0299 0.0816
27 P 0.7160 0.2944 0.2430
28 P 0.7179 0.9935 0.7391
29 P 0.9557 0.3841 0.4054
30 P 0.9837 0.7136 0.2439
31 S 0.0330 0.6476 0.5799
32 S 0.3688 0.9708 0.9101
33 S 0.6632 0.3680 0.9095
34 S 0.6634 0.9501 0.4050
35 S 0.9711 0.6574 0.9096
36 S 0.9971 0.2866 0.7383
37 O 0.0085 0.7880 0.2949
38 O 0.0108 0.1987 0.7896
39 O 0.0193 0.8174 0.5881
40 O 0.0198 0.1536 0.0948
41 O 0.1119 0.5449 0.6280
42 O 0.1163 0.3464 0.1288
43 O 0.1265 0.3746 0.4034
44 O 0.1269 0.5394 0.2349
45 O 0.1325 0.5779 0.5300
46 O 0.1345 0.2796 0.0281
47 O 0.1385 0.5072 0.9114
48 O 0.1431 0.3079 0.7348
49 O 0.1572 0.8238 0.0942
50 O 0.1609 0.0145 0.5932
51 O 0.1788 0.8277 0.6890
52 O 0.2002 0.7933 0.7919
53 O 0.2011 0.9878 0.9081
54 O 0.2030 0.9613 0.1928
55 O 0.2052 0.0071 0.2939
56 O 0.2140 0.8096 0.4013
57 O 0.2824 0.5837 0.0280
58 O 0.2870 0.1357 0.5277
59 O 0.3029 0.5425 0.7353
60 O 0.3373 0.1215 0.2336
61 O 0.3425 0.1180 0.6296
62 O 0.3491 0.5347 0.1289
63 O 0.3538 0.1373 0.9118
64 O 0.3811 0.4937 0.4036
65 O 0.4531 0.8720 0.9588
66 O 0.4590 0.7037 0.7356
67 O 0.4640 0.6821 0.0745
68 O 0.4640 0.8854 0.8599
69 O 0.4657 0.6718 0.4567
70 O 0.4693 0.8550 0.5764
71 O 0.4796 0.8124 0.2500
72 O 0.4998 0.6534 0.3528
73 O 0.5086 0.1165 0.4052
74 O 0.5121 0.3511 0.9113
75 O 0.5370 0.1142 0.1288
76 O 0.5394 0.3330 0.2349
77 O 0.5409 0.3451 0.6287
78 O 0.5441 0.1449 0.7365
79 O 0.5793 0.2844 0.5274
80 O 0.5875 0.1316 0.0280
81 O 0.6545 0.4635 0.8593
82 O 0.6560 0.8561 0.3567
83 O 0.6753 0.4521 0.9585
84 O 0.6748 0.8645 0.4569
85 O 0.6843 0.8519 0.0749
86 O 0.6860 0.4609 0.5757
87 O 0.7055 0.4739 0.2514
88 O 0.7133 0.8299 0.7362
89 O 0.7874 0.1999 0.2951
90 O 0.7964 0.0062 0.7921
91 O 0.8098 0.9727 0.4030
92 O 0.8145 0.2006 0.9080
93 O 0.8178 0.7023 0.2518
94 O 0.8273 0.0160 0.0949
95 O 0.8268 0.1553 0.5923
96 O 0.8301 0.9921 0.6894
97 O 0.8336 0.2015 0.1932
98 O 0.8421 0.4498 0.7373
99 O 0.8469 0.4961 0.3530
100 O 0.8545 0.4604 0.0746
101 O 0.8627 0.4685 0.4573
102 O 0.8631 0.6766 0.5752
103 O 0.8744 0.6694 0.9587
104 O 0.8841 0.6508 0.8596
105 O 0.9648 0.8323 0.1934
106 O 0.9709 0.2129 0.4028
107 O 0.9881 0.8087 0.9087
108 O 0.9907 0.1888 0.6904

Calculated values
* ΔH_f (0 K): -2.886 eV per atom
* calculated volume: 17.02 Å³ per atom
* E_tot: -7.3229 eV per atom

***

VASP calculation (PBE) on crystalline Na3LaNbSi2PO12 at its relaxed geometry.

Unit cell a=16.4764 b=28.3424 c=9.2532 alpha=90.00 beta=125.80 gamma=90.00
Element x y z (fractional)
1 Si 0.3473 0.9592 0.7547
2 Si 0.3473 0.0408 0.2547
3 Si 0.8481 0.1271 0.7631
4 Si 0.8424 0.2071 0.2437
5 Si 0.8473 0.5408 0.2547
6 Si 0.1427 0.4729 0.7410
7 Si 0.8473 0.4592 0.7547
8 Si 0.6450 0.3067 0.7441
9 Si 0.8424 0.7929 0.7437
10 Si 0.3424 0.2929 0.7437
11 Si 0.1409 0.8619 0.2401
12 Si 0.1450 0.1933 0.2441
13 Si 0.3481 0.3729 0.2631
14 Si 0.6427 0.0271 0.2410
15 Si 0.6427 0.9729 0.7410
16 Si 0.6409 0.6381 0.7401
17 Si 0.6409 0.3619 0.2401
18 Si 0.1427 0.5271 0.2410
19 Si 0.1450 0.8067 0.7441
20 Si 0.6450 0.6933 0.2441
21 Si 0.8481 0.8729 0.2631
22 Si 0.1409 0.1381 0.7401
23 Si 0.3481 0.6271 0.7631
24 Si 0.3424 0.7071 0.2437
25 O 0.5429 0.2906 0.5613
26 O 0.2330 0.8806 0.2430
27 O 0.0683 0.0240 0.9111
28 O 0.1361 0.8796 0.4180
29 O 0.4581 0.7286 0.4132
30 O 0.4581 0.2714 0.9132
31 O 0.5429 0.7094 0.0613
32 O 0.2532 0.9346 0.7503
33 O 0.3427 0.9844 0.2410
34 O 0.8372 0.8158 0.2505
35 O 0.8215 0.7797 0.5562
36 O 0.4648 0.0618 0.4368
37 O 0.4477 0.4527 0.7705
38 O 0.4636 0.6067 0.9414
39 O 0.7394 0.2879 0.7494
40 O 0.6391 0.0470 0.4189
41 O 0.3411 0.9337 0.5955
42 O 0.9472 0.9880 0.0765
43 O 0.0665 0.3114 0.4015
44 O 0.6443 0.3654 0.7527
45 O 0.1398 0.1982 0.7437
46 O 0.3390 0.3501 0.7441
47 O 0.4472 0.4880 0.0765
48 O 0.9581 0.7714 0.9132
49 O 0.9496 0.3267 0.0669
50 O 0.7394 0.7121 0.2494
51 O 0.5387 0.0416 0.0625
52 O 0.0957 0.9572 0.7537
53 O 0.1338 0.7858 0.9100
54 O 0.1421 0.4675 0.2524
55 O 0.2330 0.1194 0.7430
56 O 0.5957 0.4572 0.7537
57 O 0.5683 0.4760 0.4111
58 O 0.4496 0.1733 0.5669
59 O 0.5348 0.3740 0.0604
60 O 0.2394 0.7879 0.7494
61 O 0.1031 0.3751 0.2580
62 O 0.3215 0.7203 0.0562
63 O 0.0757 0.6467 0.4282
64 O 0.6421 0.0325 0.7524
65 O 0.8372 0.1842 0.7505
66 O 0.9470 0.7155 0.2684
67 O 0.6391 0.9530 0.9189
68 O 0.1443 0.1346 0.2527
69 O 0.9523 0.6521 0.0932
70 O 0.2555 0.6010 0.7577
71 O 0.2387 0.5409 0.2442
72 O 0.4472 0.5120 0.5765
73 O 0.0683 0.9760 0.4111
74 O 0.1391 0.5470 0.4189
75 O 0.9472 0.0120 0.5765
76 O 0.0429 0.2094 0.0613
77 O 0.3396 0.3952 0.0965
78 O 0.4496 0.8267 0.0669
79 O 0.3427 0.0156 0.7410
80 O 0.0665 0.6886 0.9015
81 O 0.1443 0.8654 0.7527
82 O 0.4523 0.8479 0.5932
83 O 0.1391 0.4530 0.9189
84 O 0.7555 0.1010 0.7577
85 O 0.8427 0.5156 0.7410
86 O 0.5757 0.8533 0.9282
87 O 0.8396 0.8952 0.0965
88 O 0.9581 0.2286 0.4132
89 O 0.5387 0.9584 0.5625
90 O 0.4537 0.1122 0.7634
91 O 0.6421 0.9675 0.2524
92 O 0.2555 0.3990 0.2577
93 O 0.1421 0.5325 0.7524
94 O 0.7330 0.6194 0.7430
95 O 0.4636 0.3933 0.4414
96 O 0.8215 0.2203 0.0562
97 O 0.3215 0.2797 0.5562
98 O 0.5348 0.6260 0.5604
99 O 0.7532 0.5654 0.2503
100 O 0.0757 0.3533 0.9282
101 O 0.5665 0.1886 0.9015
102 O 0.3372 0.3158 0.2505
103 O 0.7484 0.7690 0.7396
104 O 0.4470 0.2155 0.2684
105 O 0.1398 0.8018 0.2437
106 O 0.3390 0.6499 0.2441
107 O 0.4477 0.5473 0.2705
108 O 0.0944 0.7111 0.2522
109 O 0.1361 0.1204 0.9180
110 O 0.8411 0.4337 0.5955
111 O 0.6361 0.6204 0.9180
112 O 0.6443 0.6346 0.2527
113 O 0.7484 0.2310 0.2396
114 O 0.6338 0.2858 0.9100
115 O 0.0387 0.4584 0.5625
116 O 0.5665 0.8114 0.4015
117 O 0.0957 0.0428 0.2537
118 O 0.6398 0.3018 0.2437
119 O 0.4648 0.9382 0.9368
120 O 0.2484 0.2690 0.7396
121 O 0.3396 0.6048 0.5965
122 O 0.8427 0.4844 0.2410
123 O 0.9537 0.3878 0.2634
124 O 0.9648 0.4382 0.9368
125 O 0.5944 0.2111 0.2522
126 O 0.6361 0.3796 0.4180
127 O 0.1031 0.6249 0.7580
128 O 0.0348 0.1260 0.5604
129 O 0.2387 0.4591 0.7442
130 O 0.0348 0.8740 0.0604
131 O 0.2532 0.0654 0.2503
132 O 0.9477 0.0473 0.2705
133 O 0.0944 0.2889 0.7522
134 O 0.4470 0.7845 0.7684
135 O 0.9496 0.6733 0.5669
136 O 0.6031 0.8751 0.2580
137 O 0.5944 0.7889 0.7522
138 O 0.2484 0.7310 0.2396
139 O 0.3372 0.6842 0.7505
140 O 0.1338 0.2142 0.4100
141 O 0.9648 0.5618 0.4368
142 O 0.9477 0.9527 0.7705
143 O 0.0387 0.5416 0.0625
144 O 0.9523 0.3479 0.5932
145 O 0.9537 0.6122 0.7634
146 O 0.7532 0.4346 0.7503
147 O 0.7555 0.8990 0.2577
148 O 0.5957 0.5428 0.2537
149 O 0.9470 0.2845 0.7684
150 O 0.7330 0.3806 0.2430
151 O 0.5683 0.5240 0.9111
152 O 0.3411 0.0663 0.0955
153 O 0.0429 0.7906 0.5613
154 O 0.2394 0.2121 0.2494
155 O 0.8411 0.5663 0.0955
156 O 0.9636 0.1067 0.9414
157 O 0.6338 0.7142 0.4100
158 O 0.4537 0.8878 0.2634
159 O 0.6031 0.1249 0.7580
160 O 0.9636 0.8933 0.4414
161 O 0.8390 0.1499 0.2441
162 O 0.5757 0.1467 0.4282
163 O 0.4523 0.1521 0.0932
164 O 0.7387 0.9591 0.7442
165 O 0.8390 0.8501 0.7441
166 O 0.6398 0.6982 0.7437
167 O 0.8396 0.1048 0.5965
168 O 0.7387 0.0409 0.2442
169 Nb 0.1058 0.4179 0.0631
170 Nb 0.6052 0.2522 0.0616
171 Nb 0.6052 0.7478 0.5616
172 Nb 0.6058 0.0821 0.5631
173 Nb 0.6058 0.9179 0.0631
174 Nb 0.6058 0.4165 0.5636
175 Nb 0.1058 0.9165 0.5636
176 Nb 0.1052 0.7522 0.0616
177 Nb 0.1058 0.5821 0.5631
178 Nb 0.1052 0.2478 0.5616
179 Nb 0.1058 0.0835 0.0636
180 Nb 0.6058 0.5835 0.0636
181 Na 0.2458 0.7434 0.4959
182 Na 0.9956 0.1377 0.2629
183 Na 0.8252 0.6423 0.2044
184 Na 0.2399 0.5874 0.0010
185 Na 0.2392 0.0799 0.4995
186 Na 0.9935 0.5285 0.7555
187 Na 0.4935 0.9715 0.2555
188 Na 0.4935 0.0285 0.7555
189 Na 0.3252 0.1423 0.2044
190 Na 0.6861 0.1956 0.7917
191 Na 0.3230 0.5245 0.7069
192 Na 0.7399 0.9126 0.5010
193 Na 0.8252 0.3577 0.7044
194 Na 0.3230 0.4755 0.2069
195 Na 0.1861 0.6956 0.7917
196 Na 0.2399 0.4126 0.5010
197 Na 0.9929 0.8050 0.2554
198 Na 0.4929 0.6950 0.7554
199 Na 0.7458 0.7566 0.9959
200 Na 0.7392 0.4201 0.9995
201 Na 0.4956 0.6377 0.2629
202 Na 0.9935 0.4715 0.2555
203 Na 0.3252 0.8577 0.7044
204 Na 0.6861 0.8044 0.2917
205 Na 0.9956 0.8623 0.7629
206 Na 0.8230 0.9755 0.2069
207 Na 0.2392 0.9201 0.9995
208 Na 0.8230 0.0245 0.7069
209 Na 0.9929 0.1950 0.7554
210 Na 0.7458 0.2434 0.4959
211 Na 0.4956 0.3623 0.7629
212 Na 0.7392 0.5799 0.4995
213 Na 0.2458 0.2566 0.9959
214 Na 0.4929 0.3050 0.2554
215 Na 0.7399 0.0874 0.0010
216 Na 0.1861 0.3044 0.2917
217 La 0.8896 0.9152 0.9313
218 La 0.4006 0.7519 0.9522
219 La 0.8905 0.4158 0.4254
220 La 0.8896 0.0848 0.4313
221 La 0.9006 0.7481 0.4522
222 La 0.3905 0.9158 0.4254
223 La 0.3905 0.0842 0.9254
224 La 0.3896 0.5848 0.4313
225 La 0.3896 0.4152 0.9313
226 La 0.9006 0.2519 0.9522
227 La 0.8905 0.5842 0.9254
228 La 0.4006 0.2481 0.4522
229 P 0.0145 0.6499 0.7491
230 P 0.5145 0.1499 0.7491
231 P 0.5146 0.5139 0.2519
232 P 0.5145 0.8501 0.2491
233 P 0.0146 0.0139 0.2519
234 P 0.0146 0.9861 0.7519
235 P 0.5171 0.1814 0.2586
236 P 0.0171 0.3186 0.7586
237 P 0.0145 0.3501 0.2491
238 P 0.5171 0.8186 0.7586
239 P 0.0171 0.6814 0.2586
240 P 0.5146 0.4861 0.7519

Calculated values
* ΔH_f (0 K): -2.932 eV per atom
* calculated volume: 14.60 Å³ per atom
* E_tot: -7.2525 eV per atom

***

Total moment for the records above, in order: 0.00 0.00 μB per formula unit